# 1
# NdSm3 | the Materials Project database | r2SCAN | relaxed
# **ΔE_f**: 2.7 kJ per mole of atoms
# **Energy**: -118.51 eV per formula unit
# **ΔE to the lowest computed polymorph**: 0.09 kcal/mol of atoms
# **Total moment**: 0.00 μB per formula unit
data_NdSm3
_chemical_formula_sum 'Nd1 Sm3'
_cell_length_a 5.1516
_cell_length_b 5.1516
_cell_length_c 5.1516
_cell_angle_alpha 90.00
_cell_angle_beta 90.00
_cell_angle_gamma 90.00
_space_group_name_H-M_alt 'P m -3 m'
_space_group_IT_number 221
_space_group_name_Hall '-P 4 2 3'
loop_
_atom_site_label
_atom_site_type_symbol
_atom_site_fract_x
_atom_site_fract_y
_atom_site_fract_z
Nd1 Nd 0.0000 0.0000 0.0000
Sm1 Sm 0.0000 0.5000 0.5000

---

# 2
# YbInAu | the Materials Project database | r2SCAN | relaxed
# **ΔE_f**: -81.9 kJ per mole of atoms
# **Energy**: -112.24 eV per formula unit
# **Total moment**: 0.00 μB per formula unit
data_YbInAu
_chemical_formula_sum 'Yb3 In3 Au3'
_cell_length_a 7.5901
_cell_length_b 7.5901
_cell_length_c 3.9609
_cell_angle_alpha 90.00
_cell_angle_beta 90.00
_cell_angle_gamma 120.00
_space_group_name_H-M_alt 'P -6 2 m'
_space_group_IT_number 189
_space_group_name_Hall 'P -6 -2'
loop_
_atom_site_label
_atom_site_type_symbol
_atom_site_fract_x
_atom_site_fract_y
_atom_site_fract_z
Yb1 Yb 0.0000 0.5958 0.0000
In1 In 0.0000 0.2613 0.5000
Au1 Au 0.0000 0.0000 0.0000
Au2 Au 0.3333 0.6667 0.5000